Arrangement A

Here is a geometry-optimized SiC structure from the Materials Project. Energies are from PBE.

Cell and atoms, written as POSCAR:
```
SiC
1.0
-1.546 -2.678 0.000
1.546 -2.678 0.000
0.000 -1.785 43.021
Si C
17 17
direct
0.000 0.000 0.000
0.941 0.941 0.177
0.863 0.863 0.412
0.784 0.784 0.647
0.706 0.706 0.883
0.627 0.627 0.118
0.588 0.588 0.236
0.549 0.549 0.353
0.510 0.510 0.470
0.471 0.471 0.588
0.431 0.431 0.706
0.392 0.392 0.824
0.353 0.353 0.941
0.314 0.314 0.059
0.235 0.235 0.294
0.157 0.157 0.529
0.078 0.078 0.765
0.985 0.985 0.044
0.926 0.926 0.221
0.848 0.848 0.456
0.770 0.770 0.691
0.691 0.691 0.927
0.613 0.613 0.162
0.574 0.574 0.279
0.534 0.534 0.397
0.495 0.495 0.514
0.456 0.456 0.632
0.417 0.417 0.750
0.377 0.377 0.868
0.338 0.338 0.985
0.299 0.299 0.103
0.221 0.221 0.338
0.142 0.142 0.573
0.064 0.064 0.809
```

Properties
- symmetry = R3m

Arrangement B

Here is a geometry-optimized SiC structure from the Materials Project. Energies are from PBE.

Cell and atoms, written as POSCAR:
```
SiC
1.0
1.547 -2.680 0.000
1.547 2.680 0.000
0.000 0.000 91.100
Si C
36 36
direct
0.000 0.000 0.167
0.667 0.333 0.611
0.333 0.667 0.917
0.000 0.000 0.417
0.333 0.667 0.361
0.667 0.333 0.278
0.333 0.667 0.806
0.333 0.667 0.306
0.667 0.333 0.778
0.333 0.667 0.139
0.000 0.000 0.667
0.333 0.667 0.028
0.667 0.333 0.528
0.333 0.667 0.639
0.000 0.000 0.833
0.333 0.667 0.194
0.333 0.667 0.472
0.667 0.333 0.111
0.667 0.333 0.056
0.000 0.000 0.500
0.667 0.333 0.222
0.000 0.000 0.556
0.000 0.000 0.722
0.000 0.000 0.083
0.667 0.333 0.944
0.667 0.333 0.389
0.667 0.333 0.694
0.667 0.333 0.861
0.000 0.000 0.333
0.333 0.667 0.583
0.000 0.000 0.000
0.000 0.000 0.889
0.667 0.333 0.444
0.333 0.667 0.750
0.000 0.000 0.250
0.333 0.667 0.972
0.000 0.000 0.743
0.000 0.000 0.271
0.333 0.667 0.382
0.000 0.000 0.576
0.667 0.333 0.465
0.667 0.333 0.132
0.667 0.333 0.410
0.333 0.667 0.826
0.000 0.000 0.438
0.667 0.333 0.299
0.000 0.000 0.104
0.667 0.333 0.715
0.000 0.000 0.910
0.667 0.333 0.799
0.000 0.000 0.521
0.667 0.333 0.882
0.667 0.333 0.076
0.333 0.667 0.993
0.667 0.333 0.243
0.000 0.000 0.188
0.667 0.333 0.632
0.333 0.667 0.049
0.000 0.000 0.854
0.333 0.667 0.604
0.000 0.000 0.354
0.333 0.667 0.160
0.333 0.667 0.493
0.333 0.667 0.660
0.333 0.667 0.937
0.333 0.667 0.771
0.333 0.667 0.326
0.667 0.333 0.549
0.333 0.667 0.215
0.000 0.000 0.021
0.667 0.333 0.965
0.000 0.000 0.687
```

Properties
- symmetry = P3m1

Bottom line: arrangement B, by a margin of 32 meV per atom.

Arrangement A

Here is a geometry-optimized Ba4MgTl8O16 structure from the Materials Project. Energies are from PBE.

Cell and atoms, written as POSCAR:
```
Ba4MgTl8O16
1.0
11.171 0.279 0.000
0.324 12.210 0.000
0.000 0.000 3.558
Ba Mg Tl O
4 1 8 16
direct
0.245 0.348 0.750
0.265 0.879 0.250
0.746 0.138 0.750
0.753 0.663 0.250
0.210 0.631 0.250
0.025 0.587 0.750
0.072 0.114 0.750
0.463 0.614 0.250
0.422 0.115 0.250
0.583 0.899 0.750
0.566 0.384 0.750
0.939 0.891 0.250
0.891 0.372 0.250
0.036 0.709 0.250
0.088 0.930 0.750
0.131 0.489 0.250
0.209 0.164 0.250
0.274 0.676 0.750
0.390 0.988 0.750
0.421 0.436 0.250
0.466 0.225 0.750
0.536 0.784 0.250
0.594 0.567 0.750
0.616 0.023 0.250
0.695 0.317 0.250
0.811 0.836 0.750
0.855 0.513 0.750
0.922 0.075 0.250
0.982 0.285 0.750
```

Properties
- symmetry = Pm

Arrangement B

Here is a geometry-optimized Ba4MgTl8O16 structure from the Materials Project. Energies are from PBE.

Cell and atoms, written as POSCAR:
```
Ba4MgTl8O16
1.0
-8.868 2.981 4.841
-3.434 -12.401 0.836
1.670 -0.246 3.210
Ba Mg Tl O
4 1 8 16
direct
0.224 0.351 0.750
0.236 0.850 0.250
0.759 0.179 0.750
0.749 0.646 0.250
0.463 0.745 0.750
0.069 0.614 0.750
0.071 0.111 0.750
0.402 0.574 0.250
0.422 0.139 0.250
0.606 0.940 0.750
0.574 0.392 0.750
0.920 0.900 0.250
0.919 0.405 0.250
0.018 0.723 0.250
0.074 0.934 0.750
0.116 0.493 0.250
0.195 0.173 0.250
0.296 0.661 0.750
0.409 0.892 0.750
0.403 0.410 0.250
0.498 0.232 0.750
0.519 0.728 0.250
0.566 0.559 0.750
0.628 0.045 0.250
0.711 0.346 0.250
0.783 0.847 0.750
0.875 0.529 0.750
0.924 0.080 0.250
0.972 0.299 0.750
```

Properties
- symmetry = Pm

Bottom line: arrangement B, by a margin of 23 meV per atom.